1.
# K3Mo2HCO13

A geometry-optimized K3Mo2HCO13 structure (PBE+U, the Materials Project).

Cell lengths 11.6255, 6.2526, 16.6506 Å; angles 90.00, 90.00, 90.00 degrees
With the nearest neighbours (Å) after each atom.
Fractional coordinates of all 80 atoms:
K (0.3960, 0.7531, 0.8505)  8 O 2.81-3.10
K (0.6040, 0.2469, 0.3505)  8 O 2.81-3.10
K (0.1040, 0.7531, 0.3505)  8 O 2.81-3.10
K (0.8960, 0.2469, 0.8505)  8 O 2.81-3.10
K (0.5898, 0.2457, 0.6495)  8 O 2.79-3.12
K (0.4102, 0.7543, 0.1495)  8 O 2.79-3.12
K (0.9102, 0.2457, 0.1495)  8 O 2.79-3.12
K (0.0898, 0.7543, 0.6495)  8 O 2.79-3.12
K (0.4319, 0.7197, 0.4486)  7 O 2.79-3.03
K (0.5681, 0.2803, 0.9486)  7 O 2.79-3.03
K (0.0681, 0.7197, 0.9486)  7 O 2.79-3.03
K (0.9319, 0.2803, 0.4486)  7 O 2.79-3.03
Mo (0.7363, 0.7876, 0.7591)  1 O 1.74
Mo (0.2637, 0.2124, 0.2591)  1 O 1.74
Mo (0.7637, 0.7876, 0.2591)  1 O 1.74
Mo (0.2363, 0.2124, 0.7591)  1 O 1.74
Mo (0.7640, 0.7974, 0.5346)  1 O 1.74
Mo (0.2360, 0.2026, 0.0346)  1 O 1.74
Mo (0.7360, 0.7974, 0.0346)  1 O 1.74
Mo (0.2640, 0.2026, 0.5346)  1 O 1.74
H (0.9099, 0.2498, 0.6545)  1 C 1.11
H (0.0901, 0.7502, 0.1545)  1 C 1.11
H (0.5901, 0.2498, 0.1545)  1 C 1.11
H (0.4099, 0.7502, 0.6545)  1 C 1.11
C (0.8635, 0.4046, 0.6524)  1 H 1.11
C (0.1365, 0.5954, 0.1524)  1 H 1.11
C (0.6365, 0.4046, 0.1524)  1 H 1.11
C (0.3635, 0.5954, 0.6524)  1 H 1.11
O (0.9035, 0.8583, 0.7500)  1 O 1.48
O (0.0965, 0.1417, 0.2500)  1 O 1.48
O (0.5965, 0.8583, 0.2500)  1 O 1.48
O (0.4035, 0.1417, 0.7500)  1 O 1.48
O (0.8762, 0.7564, 0.8280)  1 O 1.48
O (0.1238, 0.2436, 0.3280)  1 O 1.48
O (0.6238, 0.7564, 0.3280)  1 O 1.48
O (0.3762, 0.2436, 0.8280)  1 O 1.48
O (0.6496, 0.5809, 0.8274)  1 O 1.48
O (0.3504, 0.4191, 0.3274)  1 O 1.48
O (0.8504, 0.5809, 0.3274)  1 O 1.48
O (0.1496, 0.4191, 0.8274)  1 O 1.48
O (0.5912, 0.6161, 0.7498)  1 O 1.48
O (0.4088, 0.3839, 0.2498)  1 O 1.48
O (0.9088, 0.6161, 0.2498)  1 O 1.48
O (0.0912, 0.3839, 0.7498)  1 O 1.48
O (0.6441, 0.5679, 0.5348)  1 O 1.47
O (0.3559, 0.4321, 0.0348)  1 O 1.47
O (0.8559, 0.5679, 0.0348)  1 O 1.47
O (0.1441, 0.4321, 0.5348)  1 O 1.47
O (0.7186, 0.5559, 0.4633)  1 O 1.47
O (0.2814, 0.4441, 0.9633)  1 O 1.47
O (0.7814, 0.5559, 0.9633)  1 O 1.47
O (0.2186, 0.4441, 0.4633)  1 O 1.47
O (0.9127, 0.8224, 0.4751)  1 O 1.48
O (0.0873, 0.1776, 0.9751)  1 O 1.48
O (0.5873, 0.8224, 0.9751)  1 O 1.48
O (0.4127, 0.1776, 0.4751)  1 O 1.48
O (0.9179, 0.9331, 0.5537)  1 O 1.48
O (0.0821, 0.0669, 0.0537)  1 O 1.48
O (0.5821, 0.9331, 0.0537)  1 O 1.48
O (0.4179, 0.0669, 0.5537)  1 O 1.48
O (0.6836, 0.0271, 0.7976)  1 Mo 1.74
O (0.3164, 0.9729, 0.2976)  1 Mo 1.74
O (0.8164, 0.0271, 0.2976)  1 Mo 1.74
O (0.1836, 0.9729, 0.7976)  1 Mo 1.74
O (0.7212, 0.8613, 0.6455)  2 Mo 1.95
O (0.2788, 0.1387, 0.1455)  2 Mo 1.95
O (0.7788, 0.8613, 0.1455)  2 Mo 1.95
O (0.2212, 0.1387, 0.6455)  2 Mo 1.95
O (0.6916, 0.0103, 0.4905)  1 Mo 1.74
O (0.3084, 0.9897, 0.9905)  1 Mo 1.74
O (0.8084, 0.0103, 0.9905)  1 Mo 1.74
O (0.1916, 0.9897, 0.4905)  1 Mo 1.74
O (0.8066, 0.4544, 0.7145)  1 C 1.27
O (0.1934, 0.5456, 0.2145)  1 C 1.27
O (0.6934, 0.4544, 0.2145)  1 C 1.27
O (0.3066, 0.5456, 0.7145)  1 C 1.27
O (0.8732, 0.5100, 0.5876)  1 C 1.27
O (0.1268, 0.4900, 0.0876)  1 C 1.27
O (0.6268, 0.5100, 0.0876)  1 C 1.27
O (0.3732, 0.4900, 0.5876)  1 C 1.27

## Properties
Space group   Pca2_1 (29)



2.
# MnH4S2O12

A geometry-optimized MnH4S2O12 structure (PBE+U, the Materials Project).

Cell lengths 5.6352, 9.4769, 18.2081 Å; angles 90.00, 90.00, 90.00 degrees
With the nearest neighbours (Å) after each atom.
Fractional coordinates of all 76 atoms:
Mn (0.5000, 0.5000, 0.0000)  6 O 1.79-1.99
Mn (0.0000, 0.0000, 0.5000)  6 O 1.79-1.99
Mn (0.5000, 0.5000, 0.5000)  6 O 1.79-1.99
Mn (0.0000, 0.0000, 0.0000)  6 O 1.79-1.99
H (0.9891, 0.1658, 0.2063)  1 O 0.99
H (0.5109, 0.6658, 0.2937)  1 O 0.99
H (0.0109, 0.8342, 0.7063)  1 O 0.99
H (0.4891, 0.3342, 0.7937)  1 O 0.99
H (0.0109, 0.8342, 0.7937)  1 O 0.99
H (0.4891, 0.3342, 0.7063)  1 O 0.99
H (0.9891, 0.1658, 0.2937)  1 O 0.99
H (0.5109, 0.6658, 0.2063)  1 O 0.99
H (0.5824, 0.3583, 0.2063)  1 O 0.99
H (0.9176, 0.8583, 0.2937)  1 O 0.99
H (0.4176, 0.6417, 0.7063)  1 O 0.99
H (0.0824, 0.1417, 0.7937)  1 O 0.99
H (0.4176, 0.6417, 0.7937)  1 O 0.99
H (0.0824, 0.1417, 0.7063)  1 O 0.99
H (0.5824, 0.3583, 0.2937)  1 O 0.99
H (0.9176, 0.8583, 0.2063)  1 O 0.99
S (0.2048, 0.7354, 0.0869)  4 O 1.45-1.53
S (0.2952, 0.2354, 0.4131)  4 O 1.45-1.53
S (0.7952, 0.2646, 0.5869)  4 O 1.45-1.53
S (0.7048, 0.7646, 0.9131)  4 O 1.45-1.53
S (0.7952, 0.2646, 0.9131)  4 O 1.45-1.53
S (0.7048, 0.7646, 0.5869)  4 O 1.45-1.53
S (0.2048, 0.7354, 0.4131)  4 O 1.45-1.53
S (0.2952, 0.2354, 0.0869)  4 O 1.45-1.53
O (0.9860, 0.7343, 0.3696)  1 S 1.47
O (0.5140, 0.2343, 0.1304)  1 S 1.47
O (0.0140, 0.2657, 0.8696)  1 S 1.47
O (0.4860, 0.7657, 0.6304)  1 S 1.47
O (0.0140, 0.2657, 0.6304)  1 S 1.47
O (0.4860, 0.7657, 0.8696)  1 S 1.47
O (0.9860, 0.7343, 0.1304)  1 S 1.47
O (0.5140, 0.2343, 0.3696)  1 S 1.47
O (0.4142, 0.7786, 0.1275)  1 S 1.45
O (0.0858, 0.2786, 0.3725)  1 S 1.45
O (0.5858, 0.2214, 0.6275)  1 S 1.45
O (0.9142, 0.7214, 0.8725)  1 S 1.45
O (0.5858, 0.2214, 0.8725)  1 S 1.45
O (0.9142, 0.7214, 0.6275)  1 S 1.45
O (0.4142, 0.7786, 0.3725)  1 S 1.45
O (0.0858, 0.2786, 0.1275)  1 S 1.45
O (0.2337, 0.5876, 0.0559)  1 S 1.52
O (0.2663, 0.0876, 0.4441)  1 S 1.52
O (0.7663, 0.4124, 0.5559)  1 S 1.52
O (0.7337, 0.9124, 0.9441)  1 S 1.52
O (0.7663, 0.4124, 0.9441)  1 S 1.52
O (0.7337, 0.9124, 0.5559)  1 S 1.52
O (0.2337, 0.5876, 0.4441)  1 S 1.52
O (0.2663, 0.0876, 0.0559)  1 S 1.52
O (0.3339, 0.5158, 0.5836)  1 Mn 1.79
O (0.1661, 0.0158, 0.9164)  1 Mn 1.79
O (0.6661, 0.4842, 0.0836)  1 Mn 1.79
O (0.8339, 0.9842, 0.4164)  1 Mn 1.79
O (0.6661, 0.4842, 0.4164)  1 Mn 1.79
O (0.8339, 0.9842, 0.0836)  1 Mn 1.79
O (0.3339, 0.5158, 0.9164)  1 Mn 1.79
O (0.1661, 0.0158, 0.5836)  1 Mn 1.79
O (0.1668, 0.8235, 0.0176)  1 S 1.53
O (0.3332, 0.3235, 0.4824)  1 S 1.53
O (0.8332, 0.1765, 0.5176)  1 S 1.53
O (0.6668, 0.6765, 0.9824)  1 S 1.53
O (0.8332, 0.1765, 0.9824)  1 S 1.53
O (0.6668, 0.6765, 0.5176)  1 S 1.53
O (0.1668, 0.8235, 0.4824)  1 S 1.53
O (0.3332, 0.3235, 0.0176)  1 S 1.53
O (0.6054, 0.6372, 0.2500)  2 H 0.99
O (0.8946, 0.1372, 0.2500)  2 H 0.99
O (0.3946, 0.3628, 0.7500)  2 H 0.99
O (0.1054, 0.8628, 0.7500)  2 H 0.99
O (0.9948, 0.9005, 0.2500)  2 H 0.99
O (0.5052, 0.4005, 0.2500)  2 H 0.99
O (0.0052, 0.0995, 0.7500)  2 H 0.99
O (0.4948, 0.5995, 0.7500)  2 H 0.99

## Properties
Space group   Pnma (62)



3.
# MnCdF5

A geometry-optimized MnCdF5 structure (PBE+U, the Materials Project).

Cell lengths 6.4132, 8.0372, 9.0600 Å; angles 64.11, 90.00, 90.00 degrees
With the nearest neighbours (Å) after each atom.
Fractional coordinates of all 28 atoms:
Mn (0.5000, 0.0000, 0.5000)  4 F 1.87-1.93
Mn (0.0000, 0.5000, 0.0000)  4 F 1.86-1.94
Mn (0.5000, 0.5000, 0.5000)  4 F 1.86-1.94
Mn (0.0000, 0.0000, 0.0000)  4 F 1.87-1.93
Cd (0.5424, 0.7506, 0.9999)  5 F 2.22-2.31
Cd (0.0424, 0.2494, 0.5001)  5 F 2.22-2.31
Cd (0.9576, 0.7506, 0.4999)  5 F 2.22-2.31
Cd (0.4576, 0.2494, 0.0001)  5 F 2.22-2.31
F (0.7043, 0.0510, 0.9808)  1 Mn 1.93
F (0.7957, 0.0510, 0.4808)  1 Mn 1.93
F (0.6037, 0.7478, 0.5041)  2 Mn 2.12, 1 Cd 2.27
F (0.8963, 0.7478, 0.0041)  2 Mn 2.12, 1 Cd 2.27
F (0.7031, 0.4527, 0.0093)  1 Mn 1.94
F (0.2957, 0.9490, 0.0192)  1 Mn 1.93
F (0.7969, 0.4527, 0.5093)  1 Mn 1.94
F (0.0273, 0.1028, 0.7721)  1 Mn 1.87
F (0.5143, 0.6124, 0.2717)  1 Mn 1.86
F (0.9727, 0.8972, 0.2279)  1 Mn 1.87
F (0.2031, 0.5473, 0.4907)  1 Mn 1.94
F (0.3963, 0.2522, 0.4959)  2 Mn 2.12, 1 Cd 2.27
F (0.4727, 0.1028, 0.2721)  1 Mn 1.87
F (0.5273, 0.8972, 0.7279)  1 Mn 1.87
F (0.4857, 0.3876, 0.7283)  1 Mn 1.86
F (0.2043, 0.9490, 0.5192)  1 Mn 1.93
F (0.1037, 0.2522, 0.9959)  2 Mn 2.12, 1 Cd 2.27
F (0.9857, 0.6124, 0.7717)  1 Mn 1.86
F (0.2969, 0.5473, 0.9907)  1 Mn 1.94
F (0.0143, 0.3876, 0.2283)  1 Mn 1.86

## Properties
Space group   P2_1/c (14)



4.
# VPbO2

A geometry-optimized VPbO2 structure (PBE+U, the Materials Project).

Cell lengths 7.5758, 7.5758, 7.5758 Å; angles 128.63, 128.63, 75.61 degrees
With the nearest neighbours (Å) after each atom.
Fractional coordinates of all 16 atoms:
V (0.3750, 0.1250, 0.2500)  4 O 2.09-2.17
V (0.8750, 0.1250, 0.7500)  4 O 2.09-2.17
V (0.8750, 0.1250, 0.2500)  4 O 2.09-2.17
V (0.8750, 0.6250, 0.7500)  4 O 2.09-2.17
Pb (0.8750, 0.6250, 0.2500)  6 O 2.56-2.66
Pb (0.3750, 0.6250, 0.7500)  6 O 2.56-2.66
Pb (0.3750, 0.6250, 0.2500)  6 O 2.56-2.66
Pb (0.3750, 0.1250, 0.7500)  6 O 2.56-2.66
O (0.1629, 0.3536, 0.2080)  2 V 2.09-2.17
O (0.1456, 0.9548, 0.7920)  2 V 2.09-2.17
O (0.1036, 0.3956, 0.6907)  2 V 2.09-2.17
O (0.5871, 0.8964, 0.2920)  2 V 2.09-2.17
O (0.7048, 0.4129, 0.3093)  2 V 2.09-2.17
O (0.6044, 0.2952, 0.7080)  2 V 2.09-2.17
O (0.6464, 0.8544, 0.8093)  2 V 2.09-2.17
O (0.0452, 0.8371, 0.1907)  2 V 2.09-2.17

## Properties
Space group   I4_1/a (88)



5.
# Na4VO4

A geometry-optimized Na4VO4 structure (PBE+U, the Materials Project).

Cell lengths 5.8096, 5.8321, 8.7084 Å; angles 80.24, 70.73, 68.47 degrees
With the nearest neighbours (Å) after each atom.
Fractional coordinates of all 18 atoms:
Na (0.4787, 0.7345, 0.5665)  5 O 2.36-2.47
Na (0.9483, 0.2381, 0.6032)  5 O 2.39-2.53
Na (0.5213, 0.2655, 0.4335)  5 O 2.36-2.47
Na (0.0517, 0.7619, 0.3968)  5 O 2.39-2.53
Na (0.5998, 0.7424, 0.1803)  4 O 2.36-2.39
Na (0.7607, 0.2474, 0.0168)  4 O 2.32-2.39
Na (0.2393, 0.7526, 0.9832)  4 O 2.32-2.39
Na (0.4002, 0.2576, 0.8197)  4 O 2.36-2.39
V (0.1555, 0.2823, 0.2423)  4 O 1.81-1.85
V (0.8445, 0.7177, 0.7577)  4 O 1.81-1.85
O (0.7019, 0.9728, 0.6222)  1 V 1.85
O (0.1651, 0.5201, 0.6436)  1 V 1.84
O (0.8349, 0.4799, 0.3564)  1 V 1.84
O (0.2981, 0.0272, 0.3778)  1 V 1.85
O (0.3614, 0.4760, 0.1996)  1 V 1.84
O (0.1499, 0.1417, 0.0741)  1 V 1.81
O (0.6386, 0.5240, 0.8004)  1 V 1.84
O (0.8501, 0.8583, 0.9259)  1 V 1.81

## Properties
Space group   P-1 (2)



6.
# Li3Si2Ni2O8

A geometry-optimized Li3Si2Ni2O8 structure (PBE+U, the Materials Project).

Cell lengths 10.4498, 5.0265, 6.5619 Å; angles 90.00, 90.80, 90.00 degrees
With the nearest neighbours (Å) after each atom.
Fractional coordinates of all 30 atoms:
Li (0.1616, 0.1776, 0.1169)  4 O 1.98-2.14
Li (0.3404, 0.6897, 0.6188)  4 O 1.86-1.99
Li (0.4177, 0.2959, 0.3667)  4 O 2.02-2.11
Li (0.6616, 0.3224, 0.1169)  4 O 1.98-2.14
Li (0.8404, 0.8103, 0.6188)  4 O 1.86-1.99
Li (0.9177, 0.2041, 0.3667)  4 O 2.02-2.11
Si (0.0885, 0.6918, 0.3693)  4 O 1.62-1.68
Si (0.4102, 0.1774, 0.8638)  4 O 1.62-1.69
Si (0.5885, 0.8082, 0.3693)  4 O 1.62-1.68
Si (0.9102, 0.3226, 0.8638)  4 O 1.62-1.69
Ni (0.1602, 0.1741, 0.6310)  4 O 1.82-1.94
Ni (0.3389, 0.6938, 0.1060)  4 O 1.93-2.02
Ni (0.6602, 0.3259, 0.6310)  4 O 1.82-1.94
Ni (0.8389, 0.8062, 0.1060)  4 O 1.93-2.02
O (0.0628, 0.2323, 0.8551)  1 Si 1.66, 1 Ni 1.82
O (0.0958, 0.3591, 0.3917)  1 Si 1.68
O (0.1648, 0.8176, 0.5713)  1 Si 1.66, 1 Ni 1.83
O (0.1633, 0.7895, 0.1687)  1 Si 1.62
O (0.3326, 0.2968, 0.6561)  1 Si 1.69
O (0.3476, 0.2946, 0.0753)  1 Si 1.65
O (0.3963, 0.8573, 0.8569)  1 Si 1.62
O (0.4395, 0.7043, 0.3676)  1 Si 1.64
O (0.5628, 0.2677, 0.8551)  1 Si 1.66, 1 Ni 1.82
O (0.5958, 0.1409, 0.3917)  1 Si 1.68
O (0.6648, 0.6824, 0.5713)  1 Si 1.66, 1 Ni 1.83
O (0.6633, 0.7105, 0.1687)  1 Si 1.62
O (0.8326, 0.2032, 0.6561)  1 Si 1.69
O (0.8476, 0.2054, 0.0753)  1 Si 1.65
O (0.8963, 0.6427, 0.8569)  1 Si 1.62
O (0.9395, 0.7957, 0.3676)  1 Si 1.64

## Properties
Space group   Pc (7)
Energy above the most stable polymorph in this dataset   0.0 meV per atom



What energy of formation from the pure elements values result from the calculations? In sequence: -1.262; -1.208; -2.638; -1.406; -2.060; -2.301 eV per atom.
What mass density values result from the calculations? In sequence: 2.9; 2.2; 4.1; 7.5; 2.7; 3.1 Mg/m³.